[1]
LiFe5O5F: relaxed, GGA+U.

Values from the calculation:
VASP energy in eV/atom: -6.337
ρ in g/cm3: 4.32
Formation enthalpy at 0 K in eV/atom: -1.692

POSCAR file:
```
LiFe5O5F
1.0
3.0878 -1.7852 0.0000
3.0878 1.7852 0.0000
-0.0133 0.0000 13.4134
Li Fe O F
1 5 5 1
Direct
0.0000 0.0000 0.0000
0.0026 0.0026 0.6653
0.0044 0.0044 0.3278
0.3260 0.3260 0.8305
0.3277 0.3277 0.4962
0.3408 0.3408 0.1621
0.0035 0.0035 0.8350
0.0051 0.0051 0.4952
0.3483 0.3483 0.3278
0.3477 0.3477 0.6628
0.9964 0.9964 0.1555
0.3360 0.3360 0.9962
```

[2]
Li3FeO2F2: relaxed, GGA+U.

Values from the calculation:
VASP energy in eV/atom: -5.410
ρ in g/cm3: 3.32
Formation enthalpy at 0 K in eV/atom: -2.489

POSCAR file:
```
Li3FeO2F2
1.0
5.1141 0.0000 0.0564
-1.6999 5.9369 4.8183
-1.6999 -5.9369 4.8183
Li Fe O F
12 4 8 8
Direct
0.2500 0.3085 0.1915
0.2500 0.8085 0.6915
0.7500 0.6915 0.8085
0.7500 0.1915 0.3085
0.2500 0.5699 0.9301
0.2500 0.0699 0.4301
0.7500 0.4301 0.0699
0.7500 0.9301 0.5699
0.2500 0.1866 0.8134
0.2500 0.6866 0.3134
0.7500 0.3134 0.6866
0.7500 0.8134 0.1866
0.2500 0.9514 0.0486
0.7500 0.5486 0.4514
0.2500 0.4514 0.5486
0.7500 0.0486 0.9514
0.0071 0.5547 0.6778
0.0071 0.0547 0.1778
0.4929 0.8222 0.9453
0.4929 0.3222 0.4453
0.5071 0.1778 0.0547
0.5071 0.6778 0.5547
0.9929 0.4453 0.3222
0.9929 0.9453 0.8222
0.0091 0.6882 0.0647
0.0091 0.1882 0.5647
0.5091 0.5647 0.1882
0.5091 0.0647 0.6882
0.4909 0.4353 0.8118
0.4909 0.9353 0.3118
0.9909 0.3118 0.9353
0.9909 0.8118 0.4353
```

[3]
Li7FeO5F: relaxed, GGA+U.

Values from the calculation:
VASP energy in eV/atom: -5.107
ρ in g/cm3: 2.58
Formation enthalpy at 0 K in eV/atom: -2.083

POSCAR file:
```
Li7FeO5F
1.0
5.4518 0.0000 0.0000
-2.4451 4.9616 0.0000
-2.6293 -1.3561 4.8352
Li Fe O F
7 1 5 1
Direct
0.0000 0.0000 0.0000
0.0356 0.2409 0.6499
0.1391 0.4299 0.2910
0.2566 0.6938 0.9777
0.4292 0.8858 0.6408
0.5701 0.2574 0.0129
0.7094 0.5219 0.6828
0.7826 0.7244 0.3004
0.0163 0.5734 0.5650
0.3353 0.3897 0.0827
0.6988 0.9834 0.0952
0.7210 0.8502 0.5693
0.9393 0.6451 0.0880
0.3484 0.1919 0.6065
```

[4]
Li4Fe3OF11: relaxed, GGA+U.

Values from the calculation:
VASP energy in eV/atom: -5.196
ρ in g/cm3: 3.39
Formation enthalpy at 0 K in eV/atom: -2.748

POSCAR file:
```
Li4Fe3OF11
1.0
5.8715 0.0000 0.0000
-0.8575 5.9010 0.0000
-1.0733 -1.2310 5.9485
Li Fe O F
4 3 1 11
Direct
0.0000 0.0000 0.0000
0.2060 0.2686 0.5627
0.4789 0.7981 0.7266
0.7367 0.3287 0.8181
0.2860 0.5228 0.0752
0.5639 0.0395 0.2837
0.8709 0.6693 0.4240
0.5559 0.7112 0.2901
0.0704 0.2672 0.8384
0.1821 0.6120 0.5343
0.2756 0.8453 0.0100
0.3141 0.2583 0.2337
0.4592 0.0649 0.5739
0.4770 0.4888 0.8455
0.6864 0.0965 0.0224
0.7594 0.3482 0.4618
0.8231 0.7833 0.7231
0.9568 0.9872 0.3705
0.9583 0.5582 0.1255
```

[5]
Li3Fe4O3F9: relaxed, GGA+U.

Values from the calculation:
VASP energy in eV/atom: -5.469
ρ in g/cm3: 3.70
Formation enthalpy at 0 K in eV/atom: -2.498

POSCAR file:
```
Li3Fe4O3F9
1.0
5.9899 0.0000 0.0000
-0.9228 5.9275 0.0000
-0.9543 -1.0716 5.8579
Li Fe O F
3 4 3 9
Direct
0.0000 0.0000 0.0000
0.0841 0.2653 0.5376
0.2483 0.5044 0.0467
0.3886 0.8606 0.6672
0.5345 0.2084 0.2822
0.7097 0.4256 0.7869
0.7814 0.6847 0.3064
0.4956 0.1582 0.6007
0.5870 0.4335 0.0692
0.7946 0.4462 0.4828
0.0643 0.8893 0.5374
0.2147 0.2686 0.2600
0.2749 0.5544 0.7182
0.3452 0.9787 0.9803
0.4551 0.7335 0.3610
0.6943 0.7795 0.7844
0.7698 0.0085 0.2307
0.9621 0.2551 0.8438
0.9971 0.6760 0.0878
```

[6]
Li2Fe4OF8: relaxed, GGA+U.

Values from the calculation:
VASP energy in eV/atom: -5.487
ρ in g/cm3: 3.26
Formation enthalpy at 0 K in eV/atom: -2.516

POSCAR file:
```
Li2Fe4OF8
1.0
6.5576 0.0000 0.0000
2.1990 7.7329 0.0000
3.1038 2.7793 8.1394
Li Fe O F
4 8 2 16
Direct
0.0982 0.2852 0.4367
0.2371 0.7415 0.8393
0.7629 0.2585 0.1607
0.9018 0.7148 0.5633
0.1927 0.3277 0.7776
0.3494 0.6466 0.2402
0.3627 0.1188 0.0879
0.4317 0.8880 0.4173
0.5683 0.1120 0.5827
0.6373 0.8812 0.9121
0.6506 0.3534 0.7598
0.8073 0.6723 0.2224
0.4644 0.1411 0.8275
0.5356 0.8589 0.1725
0.0676 0.2359 0.0366
0.0889 0.5248 0.2784
0.2003 0.7272 0.4433
0.2121 0.1153 0.3267
0.2947 0.3140 0.5384
0.3422 0.9315 0.6434
0.3470 0.5233 0.7799
0.3822 0.7350 0.9914
0.6178 0.2650 0.0086
0.6530 0.4767 0.2201
0.6578 0.0685 0.3566
0.7053 0.6860 0.4616
0.7879 0.8847 0.6733
0.7997 0.2728 0.5567
0.9111 0.4752 0.7216
0.9324 0.7641 0.9634
```

[7]
LiFe5O5F: relaxed, GGA+U.

Values from the calculation:
VASP energy in eV/atom: -6.027
ρ in g/cm3: 4.63
Formation enthalpy at 0 K in eV/atom: -1.382

POSCAR file:
```
LiFe5O5F
1.0
3.0061 -1.7498 0.0000
3.0061 1.7498 0.0000
-0.0036 0.0000 13.1235
Li Fe O F
1 5 5 1
Direct
0.0000 0.0000 0.0000
0.6654 0.6654 0.5011
0.6646 0.6646 0.8237
0.6672 0.6672 0.1787
0.9936 0.9936 0.6743
0.9951 0.9951 0.3277
0.9996 0.9996 0.5023
0.0002 0.0002 0.8420
0.0027 0.0027 0.1612
0.6588 0.6588 0.6640
0.6604 0.6604 0.3393
0.6663 0.6663 0.0020
```

[8]
LiFe8O12F4: relaxed, GGA+U.

Values from the calculation:
VASP energy in eV/atom: -6.059
ρ in g/cm3: 4.24
Formation enthalpy at 0 K in eV/atom: -1.716

POSCAR file:
```
LiFe8O12F4
1.0
5.9860 0.0000 0.0000
0.0172 6.4408 0.0000
2.9868 0.0073 7.3353
Li Fe O F
1 8 12 4
Direct
0.0000 0.0000 0.0000
0.2171 0.2442 0.7256
0.2210 0.2381 0.2358
0.4597 0.7395 0.2496
0.4865 0.7381 0.6946
0.6804 0.2414 0.3080
0.7130 0.2329 0.7481
0.9560 0.7287 0.2702
0.9568 0.7281 0.7458
0.2074 0.9301 0.7501
0.2187 0.5447 0.7360
0.2765 0.7414 0.1021
0.4619 0.4327 0.2529
0.4667 0.0463 0.2513
0.5521 0.2334 0.5728
0.6197 0.7370 0.4262
0.7094 0.5399 0.7417
0.7122 0.9268 0.7438
0.8955 0.2339 0.8978
0.9550 0.4282 0.2574
0.9556 0.0434 0.2484
0.0650 0.2345 0.5352
0.1085 0.7394 0.4605
0.3566 0.2298 0.9460
0.8156 0.7463 0.0493
```

[9]
Li4FeO3F: relaxed, GGA+U.

Values from the calculation:
VASP energy in eV/atom: -5.284
ρ in g/cm3: 2.58
Formation enthalpy at 0 K in eV/atom: -2.164

POSCAR file:
```
Li4FeO3F
1.0
5.1721 0.0000 0.0000
1.7952 4.9011 0.0000
0.9979 2.3965 7.6436
Li Fe O F
8 2 6 2
Direct
0.2152 0.3294 0.2702
0.2324 0.7621 0.5055
0.2437 0.5400 0.9460
0.2452 0.9987 0.0788
0.7548 0.0013 0.9212
0.7563 0.4600 0.0540
0.7676 0.2379 0.4945
0.7848 0.6706 0.7298
0.2181 0.0971 0.7398
0.7819 0.9029 0.2602
0.0097 0.0688 0.3169
0.0172 0.3185 0.8793
0.4923 0.8079 0.8860
0.5077 0.1921 0.1140
0.9828 0.6815 0.1207
0.9903 0.9312 0.6831
0.3427 0.3324 0.5088
0.6573 0.6676 0.4912
```

[10]
Li2FeOF3: relaxed, GGA+U.

Values from the calculation:
VASP energy in eV/atom: -5.322
ρ in g/cm3: 3.12
Formation enthalpy at 0 K in eV/atom: -2.658

POSCAR file:
```
Li2FeOF3
1.0
0.0626 -4.2104 4.2104
0.0000 4.2334 4.2334
-8.5306 0.0630 -0.0630
Li Fe O F
8 4 4 12
Direct
0.2500 0.2500 0.2500
0.7500 0.7500 0.7500
0.7500 0.2500 0.2500
0.2500 0.7500 0.7500
0.4676 0.7500 0.3740
0.9676 0.2500 0.8740
0.0324 0.7500 0.1260
0.5324 0.2500 0.6260
0.0000 0.5001 0.5000
0.5000 0.4999 0.9999
0.4999 0.0000 0.9999
0.0000 0.0001 0.5000
0.8023 0.2500 0.4953
0.3023 0.7500 0.9953
0.6977 0.2500 0.0047
0.1977 0.7500 0.5047
0.2521 0.2500 0.4958
0.7521 0.7500 0.9958
0.2479 0.2500 0.0042
0.7479 0.7500 0.5042
0.0054 0.4873 0.2616
0.5054 0.9873 0.7616
0.0054 0.0127 0.2616
0.5054 0.5127 0.7616
0.4947 0.4873 0.2384
0.9947 0.9873 0.7384
0.4947 0.0127 0.2384
0.9947 0.5127 0.7384
```

[11]
LiFe2O2F3: relaxed, GGA+U.

Values from the calculation:
VASP energy in eV/atom: -5.728
ρ in g/cm3: 3.53
Formation enthalpy at 0 K in eV/atom: -2.326

POSCAR file:
```
LiFe2O2F3
1.0
4.9970 -1.9362 0.0000
4.9970 1.9362 0.0000
-0.0954 0.0000 10.0956
Li Fe O F
2 4 4 6
Direct
0.0000 0.0000 0.0000
0.6733 0.6733 0.1635
0.0082 0.0082 0.3715
0.0645 0.0645 0.6800
0.7179 0.7179 0.8666
0.7349 0.7349 0.5064
0.1764 0.1764 0.4884
0.1863 0.1863 0.8376
0.6251 0.6251 0.6709
0.9203 0.9203 0.5421
0.0899 0.0899 0.1938
0.5396 0.5396 0.3556
0.5585 0.5585 0.9878
0.8123 0.8123 0.0375
0.8137 0.8137 0.3140
0.9109 0.9109 0.8055
```

[12]
Li5FeO3F: relaxed, GGA+U.

Values from the calculation:
VASP energy in eV/atom: -5.153
ρ in g/cm3: 2.48
Formation enthalpy at 0 K in eV/atom: -2.154

POSCAR file:
```
Li5FeO3F
1.0
5.5405 4.8159 1.4682
5.5406 -4.8159 1.4681
1.8624 4.8159 -7.4000
Li Fe O F
20 4 12 4
Direct
0.0175 0.0003 0.9828
0.0175 0.5003 0.4828
0.7325 0.1247 0.3922
0.7325 0.6247 0.8922
0.0311 0.3401 0.8831
0.0311 0.8401 0.3831
0.2930 0.7108 0.9919
0.2930 0.2108 0.4919
0.4570 0.9142 0.8831
0.4570 0.4142 0.3831
0.7189 0.2849 0.9919
0.7189 0.7849 0.4919
0.2205 0.5366 0.7510
0.2205 0.0366 0.2510
0.7856 0.9715 0.7510
0.7856 0.4715 0.2510
0.5295 0.5884 0.6240
0.5295 0.0884 0.1240
0.9644 0.1535 0.6240
0.9644 0.6535 0.1240
0.5021 0.7453 0.2432
0.2479 0.8797 0.6318
0.5021 0.2453 0.7432
0.2479 0.3797 0.1318
0.2290 0.4585 0.9375
0.2290 0.9585 0.4375
0.5210 0.1665 0.9375
0.5210 0.6665 0.4375
0.7711 0.0384 0.5640
0.7711 0.5384 0.0640
0.4744 0.3351 0.5640
0.4744 0.8351 0.0640
0.2756 0.7899 0.8110
0.2756 0.2899 0.3110
0.9789 0.0866 0.8110
0.9789 0.5866 0.3110
0.0189 0.4186 0.6875
0.0190 0.9186 0.1875
0.7311 0.7064 0.6875
0.7311 0.2064 0.1875
```

[13]
Li3Fe3OF7: relaxed, GGA+U.

Values from the calculation:
VASP energy in eV/atom: -5.265
ρ in g/cm3: 3.42
Formation enthalpy at 0 K in eV/atom: -2.494

POSCAR file:
```
Li3Fe3OF7
1.0
5.3750 -2.9500 0.0000
5.3750 2.9500 0.0000
-3.5324 0.0000 5.1610
Li Fe O F
3 3 1 7
Direct
0.0000 0.0000 0.0000
0.0122 0.0122 0.5405
0.3784 0.3784 0.6445
0.5340 0.9698 0.0105
0.6326 0.6326 0.4379
0.9698 0.5340 0.0105
0.7772 0.7772 0.8043
0.2249 0.7614 0.2647
0.2453 0.2453 0.7714
0.2520 0.2520 0.2362
0.2621 0.7772 0.7855
0.7614 0.2249 0.2647
0.7730 0.7730 0.3077
0.7772 0.2621 0.7855
```